Computed, not measured: a geometry-optimized SmCd6 structure at the GGA-PBE level of DFT.

Results
Energy of formation from the pure elements = -1.3 eV/f.u.
ρ = 8.19 g/cm3
VASP energy = -1.65 eV per atom

Unit cell a=13.766 b=13.766 c=13.766 alpha=71.84 beta=70.35 gamma=110.61
Positions (direct):
Sm 0.702 0.505 0.197
Sm 0.298 0.495 0.803
Sm 0.702 0.899 0.803
Sm 0.298 0.101 0.197
Sm 0.808 0.303 0.889
Sm 0.192 0.697 0.111
Sm 0.192 0.303 0.505
Sm 0.808 0.697 0.495
Sm 0.484 0.187 0.703
Sm 0.516 0.813 0.297
Sm 0.110 0.813 0.703
Sm 0.890 0.187 0.297
Cd 0.903 0.646 0.257
Cd 0.097 0.354 0.743
Cd 0.903 0.161 0.743
Cd 0.097 0.839 0.257
Cd 0.772 0.090 0.138
Cd 0.228 0.910 0.862
Cd 0.228 0.090 0.682
Cd 0.772 0.910 0.318
Cd 0.335 0.240 0.906
Cd 0.665 0.760 0.094
Cd 0.854 0.760 0.906
Cd 0.146 0.240 0.094
Cd 0.645 0.241 0.403
Cd 0.355 0.759 0.597
Cd 0.645 0.048 0.597
Cd 0.355 0.952 0.403
Cd 0.596 0.354 0.049
Cd 0.404 0.646 0.951
Cd 0.404 0.354 0.242
Cd 0.596 0.646 0.758
Cd 0.751 0.401 0.651
Cd 0.249 0.599 0.349
Cd 0.948 0.599 0.651
Cd 0.052 0.401 0.349
Cd 0.000 0.674 0.005
Cd 0.322 0.326 0.674
Cd 0.678 0.004 0.995
Cd 0.000 0.996 0.326
Cd 0.000 0.326 0.995
Cd 0.678 0.674 0.326
Cd 0.322 0.996 0.005
Cd 0.000 0.004 0.674
Cd 0.913 0.450 0.227
Cd 0.323 0.550 0.537
Cd 0.677 0.140 0.773
Cd 0.087 0.860 0.463
Cd 0.551 0.092 0.140
Cd 0.232 0.691 0.860
Cd 0.449 0.309 0.459
Cd 0.768 0.908 0.541
Cd 0.539 0.455 0.684
Cd 0.461 0.777 0.084
Cd 0.861 0.545 0.916
Cd 0.139 0.223 0.316
Cd 0.087 0.550 0.773
Cd 0.677 0.450 0.463
Cd 0.323 0.860 0.227
Cd 0.913 0.140 0.537
Cd 0.449 0.908 0.860
Cd 0.768 0.309 0.140
Cd 0.551 0.691 0.541
Cd 0.232 0.092 0.459
Cd 0.461 0.545 0.316
Cd 0.539 0.223 0.916
Cd 0.139 0.455 0.084
Cd 0.861 0.777 0.684
Cd 0.000 0.591 0.409
Cd 0.000 0.409 0.591
Cd 0.599 0.000 0.401
Cd 0.401 0.000 0.599
Cd 0.403 0.403 0.000
Cd 0.597 0.597 0.000
Cd 0.801 0.301 0.500
Cd 0.199 0.699 0.500
Cd 0.500 0.202 0.298
Cd 0.500 0.798 0.702
Cd 0.696 0.500 0.804
Cd 0.304 0.500 0.196
Cd 0.907 0.821 0.086
Cd 0.093 0.179 0.914
Cd 0.907 0.992 0.914
Cd 0.093 0.008 0.086